# 1
# K2Li3FeO4 | the Materials Project | GGA+U | optimized geometry
data_K2Li3FeO4
_chemical_formula_sum 'K8 Li12 Fe4 O16'
_space_group_name_H-M_alt 'P 1 21/c 1'
_space_group_IT_number 14
_space_group_name_Hall '-P 2ybc'
_cell_length_a 5.641
_cell_length_b 8.896
_cell_length_c 11.154
_cell_angle_alpha 90.00
_cell_angle_beta 111.03
_cell_angle_gamma 90.00
loop_
_atom_site_label
_atom_site_fract_x
_atom_site_fract_y
_atom_site_fract_z
K1 0.206 0.007 0.362
K2 0.220 0.228 0.610
Li1 0.118 0.739 0.701
Li2 0.127 0.008 0.929
Li3 0.404 0.534 0.297
Fe1 0.398 0.712 0.563
O1 0.242 0.550 0.623
O2 0.245 0.177 0.856
O3 0.265 0.690 0.380
O4 0.282 0.607 0.116
# Calculated density (Mg/m³): 2.782
# Total DFT energy (no corrections) (eV/atom): -5.002


# 2
# K4Na2MgFe2O6 | the Materials Project | GGA+U | optimized geometry
data_K4Na2MgFe2O6
_chemical_formula_sum 'K8 Na4 Mg2 Fe4 O12'
_space_group_name_H-M_alt 'C 1 2/m 1'
_space_group_IT_number 12
_space_group_name_Hall '-C 2y'
_cell_length_a 6.480
_cell_length_b 11.282
_cell_length_c 7.338
_cell_angle_alpha 90.00
_cell_angle_beta 98.76
_cell_angle_gamma 90.00
loop_
_atom_site_label
_atom_site_fract_x
_atom_site_fract_y
_atom_site_fract_z
K1 0.000 0.249 0.000
K2 0.142 0.500 0.697
Na1 0.000 0.263 0.500
Mg1 0.000 0.000 0.500
Fe1 0.225 0.000 0.847
O1 0.000 0.000 0.000
O2 0.000 0.500 0.000
O3 0.218 0.123 0.632
# Calculated density (Mg/m³): 2.721
# Total DFT energy (no corrections) (eV/atom): -4.585


# 3
# K2MgFe4O7 | the Materials Project | GGA+U | optimized geometry
data_K2MgFe4O7
_chemical_formula_sum 'K4 Mg2 Fe8 O14'
_space_group_name_H-M_alt 'C 1 m 1'
_space_group_IT_number 8
_space_group_name_Hall 'C -2y'
_cell_length_a 5.246
_cell_length_b 9.054
_cell_length_c 8.378
_cell_angle_alpha 90.00
_cell_angle_beta 90.23
_cell_angle_gamma 90.00
loop_
_atom_site_label
_atom_site_fract_x
_atom_site_fract_y
_atom_site_fract_z
K1 0.000 0.168 0.000
Mg1 0.002 0.500 0.500
Fe1 0.001 0.170 0.500
Fe2 0.031 0.500 0.776
Fe3 0.470 0.000 0.224
O1 0.007 0.500 0.000
O2 0.165 0.000 0.362
O3 0.165 0.334 0.362
O4 0.337 0.166 0.637
O5 0.337 0.500 0.638
# Calculated density (Mg/m³): 3.654
# Total DFT energy (no corrections) (eV/atom): -5.722


# 4
# K3FeMo4O15 | the Materials Project | GGA+U | optimized geometry
data_K3FeMo4O15
_chemical_formula_sum 'K12 Fe4 Mo16 O60'
_space_group_name_H-M_alt 'P 1'
_space_group_IT_number 1
_space_group_name_Hall 'P 1'
_cell_length_a 5.847
_cell_length_b 16.278
_cell_length_c 17.089
_cell_angle_alpha 91.63
_cell_angle_beta 99.72
_cell_angle_gamma 90.12
loop_
_atom_site_label
_atom_site_fract_x
_atom_site_fract_y
_atom_site_fract_z
K1 0.000 0.000 0.000
K2 0.001 0.262 0.049
K3 0.030 0.762 0.051
K4 0.082 0.997 0.237
K5 0.127 0.497 0.237
K6 0.284 0.643 0.653
K7 0.350 0.145 0.651
K8 0.658 0.120 0.399
K9 0.719 0.620 0.398
K10 0.873 0.765 0.812
K11 0.923 0.265 0.814
K12 0.975 0.501 0.000
Fe1 0.317 0.391 0.664
Fe2 0.321 0.892 0.663
Fe3 0.680 0.372 0.387
Fe4 0.683 0.871 0.386
Mo1 0.137 0.250 0.325
Mo2 0.166 0.750 0.325
Mo3 0.207 0.972 0.462
Mo4 0.231 0.473 0.463
Mo5 0.408 0.633 0.911
Mo6 0.427 0.401 0.886
Mo7 0.437 0.901 0.886
Mo8 0.483 0.134 0.910
Mo9 0.520 0.130 0.139
Mo10 0.566 0.363 0.163
Mo11 0.574 0.863 0.163
Mo12 0.595 0.630 0.139
Mo13 0.770 0.791 0.588
Mo14 0.792 0.292 0.588
Mo15 0.835 0.510 0.724
Mo16 0.864 0.013 0.723
O1 0.041 0.814 0.656
O2 0.042 0.463 0.668
O3 0.088 0.294 0.644
O4 0.099 0.285 0.227
O5 0.113 0.786 0.227
O6 0.121 0.643 0.323
O7 0.124 0.990 0.679
O8 0.125 0.658 0.927
O9 0.177 0.143 0.325
O10 0.204 0.363 0.931
O11 0.216 0.574 0.502
O12 0.221 0.105 0.123
O13 0.224 0.852 0.930
O14 0.240 0.904 0.544
O15 0.265 0.072 0.500
O16 0.276 0.404 0.544
O17 0.299 0.401 0.117
O18 0.318 0.911 0.120
O19 0.345 0.186 0.981
O20 0.357 0.374 0.781
O21 0.360 0.171 0.817
O22 0.383 0.579 0.068
O23 0.398 0.874 0.782
O24 0.400 0.298 0.381
O25 0.409 0.949 0.394
O26 0.425 0.016 0.908
O27 0.435 0.670 0.817
O28 0.464 0.516 0.909
O29 0.468 0.774 0.370
O30 0.472 0.469 0.408
O31 0.529 0.794 0.644
O32 0.533 0.488 0.679
O33 0.542 0.748 0.141
O34 0.565 0.592 0.232
O35 0.578 0.248 0.142
O36 0.589 0.314 0.656
O37 0.600 0.966 0.667
O38 0.604 0.391 0.268
O39 0.620 0.686 0.980
O40 0.639 0.093 0.233
O41 0.642 0.890 0.268
O42 0.663 0.078 0.070
O43 0.682 0.351 0.927
O44 0.705 0.863 0.932
O45 0.722 0.858 0.506
O46 0.735 0.191 0.552
O47 0.759 0.360 0.506
O48 0.780 0.411 0.120
O49 0.782 0.158 0.926
O50 0.788 0.690 0.551
O51 0.796 0.901 0.117
O52 0.822 0.121 0.726
O53 0.877 0.605 0.123
O54 0.878 0.275 0.369
O55 0.879 0.618 0.725
O56 0.890 0.474 0.822
O57 0.902 0.977 0.821
O58 0.910 0.969 0.407
O59 0.956 0.798 0.381
O60 0.958 0.451 0.396
# Calculated density (Mg/m³): 3.303
# Polymorph energy (0 for the lowest one) (meV/atom): 0.0
# Total DFT energy (no corrections) (eV/atom): -6.590


# 5
# KFe2Mo2O10 | the Materials Project | GGA+U | optimized geometry
data_KFe2Mo2O10
_chemical_formula_sum 'K2 Fe4 Mo4 O20'
_space_group_name_H-M_alt 'C 1 2/m 1'
_space_group_IT_number 12
_space_group_name_Hall '-C 2y'
_cell_length_a 10.118
_cell_length_b 6.003
_cell_length_c 8.561
_cell_angle_alpha 90.00
_cell_angle_beta 115.11
_cell_angle_gamma 90.00
loop_
_atom_site_label
_atom_site_fract_x
_atom_site_fract_y
_atom_site_fract_z
K1 0.000 0.000 0.000
Fe1 0.250 0.250 0.500
Mo1 0.071 0.500 0.756
O1 0.046 0.261 0.284
O2 0.174 0.500 0.616
O3 0.193 0.000 0.584
O4 0.193 0.500 0.973
# Calculated density (Mg/m³): 3.545
# Total DFT energy (no corrections) (eV/atom): -6.520


# 6
# K3FeMo4O15 | the Materials Project | GGA+U | optimized geometry
data_K3FeMo4O15
_chemical_formula_sum 'K12 Fe4 Mo16 O60'
_space_group_name_H-M_alt 'C 1 2/m 1'
_space_group_IT_number 12
_space_group_name_Hall '-C 2y'
_cell_length_a 34.110
_cell_length_b 5.849
_cell_length_c 8.183
_cell_angle_alpha 90.00
_cell_angle_beta 92.67
_cell_angle_gamma 90.00
loop_
_atom_site_label
_atom_site_fract_x
_atom_site_fract_y
_atom_site_fract_z
K1 0.016 0.000 0.276
K2 0.103 0.000 0.734
K3 0.185 0.500 0.974
Fe1 0.181 0.500 0.480
Mo1 0.060 0.500 0.989
Mo2 0.071 0.500 0.454
Mo3 0.150 0.000 0.234
Mo4 0.220 0.000 0.685
O1 0.036 0.255 0.907
O2 0.049 0.260 0.540
O3 0.057 0.500 0.226
O4 0.101 0.000 0.303
O5 0.108 0.500 0.921
O6 0.122 0.500 0.510
O7 0.148 0.000 0.018
O8 0.175 0.259 0.306
O9 0.189 0.254 0.657
O10 0.239 0.000 0.886
O11 0.241 0.500 0.453
# Calculated density (Mg/m³): 3.246
# Polymorph energy (0 for the lowest one) (meV/atom): 6.9
# Total DFT energy (no corrections) (eV/atom): -6.583


# 7
# K2Na4Fe2O5 | the Materials Project | GGA+U | optimized geometry
data_K2Na4Fe2O5
_chemical_formula_sum 'K4 Na8 Fe4 O10'
_space_group_name_H-M_alt 'P 42/m n m'
_space_group_IT_number 136
_space_group_name_Hall '-P 4n 2n'
_cell_length_a 6.486
_cell_length_b 6.486
_cell_length_c 10.542
_cell_angle_alpha 90.00
_cell_angle_beta 90.00
_cell_angle_gamma 90.00
loop_
_atom_site_label
_atom_site_fract_x
_atom_site_fract_y
_atom_site_fract_z
K1 0.189 0.189 0.000
Na1 0.000 0.000 0.276
Na2 0.000 0.500 0.250
Fe1 0.208 0.208 0.500
O1 0.000 0.000 0.500
O2 0.209 0.791 0.163
# Calculated density (Mg/m³): 2.709
# Total DFT energy (no corrections) (eV/atom): -4.700


# 8
# K6Na2Fe7O38 | the Materials Project | GGA+U | optimized geometry
data_K6Na2Fe7O38
_chemical_formula_sum 'K18 Na6 Fe21 O114'
_space_group_name_H-M_alt 'R 3 2'
_space_group_IT_number 155
_space_group_name_Hall 'R 3 2"'
_cell_length_a 13.1048
_cell_length_b 13.1048
_cell_length_c 16.7181
_cell_angle_alpha 90.00
_cell_angle_beta 90.00
_cell_angle_gamma 120.00
loop_
_atom_site_label
_atom_site_fract_x
_atom_site_fract_y
_atom_site_fract_z
K1 0.0051 0.5028 0.3603
Na1 0.0000 0.0000 0.2535
Fe1 0.0000 0.0000 0.5000
Fe2 0.0000 0.2348 0.5000
Fe3 0.0000 0.7513 0.5000
O1 0.0000 0.0000 0.1001
O2 0.0034 0.5042 0.0992
O3 0.0250 0.3024 0.1100
O4 0.0278 0.6328 0.7657
O5 0.0486 0.9322 0.8660
O6 0.0821 0.9171 0.5518
O7 0.0945 0.5468 0.9383
# Calculated density (Mg/m³): 2.563
# Total DFT energy (no corrections) (eV/atom): -4.929


# 9
# KNaFeSi4O10 | the Materials Project | GGA+U | optimized geometry
data_KNaFeSi4O10
_chemical_formula_sum 'K2 Na2 Fe2 Si8 O20'
_space_group_name_H-M_alt 'P -1'
_space_group_IT_number 2
_space_group_name_Hall '-P 1'
_cell_length_a 7.057
_cell_length_b 8.307
_cell_length_c 10.069
_cell_angle_alpha 105.22
_cell_angle_beta 101.13
_cell_angle_gamma 113.84
loop_
_atom_site_label
_atom_site_fract_x
_atom_site_fract_y
_atom_site_fract_z
K1 0.172 0.313 0.016
Na1 0.248 0.781 0.410
Fe1 0.249 0.199 0.592
Si1 0.105 0.874 0.730
Si2 0.258 0.592 0.785
Si3 0.327 0.127 0.270
Si4 0.425 0.805 0.131
O1 0.086 0.913 0.581
O2 0.093 0.126 0.206
O3 0.095 0.668 0.714
O4 0.149 0.366 0.712
O5 0.282 0.918 0.160
O6 0.292 0.649 0.961
O7 0.332 0.044 0.866
O8 0.396 0.149 0.438
O9 0.439 0.700 0.242
O10 0.499 0.705 0.769
# Calculated density (Mg/m³): 2.645
# Total DFT energy (no corrections) (eV/atom): -7.199


Number 1: formation energy from the elements -1882 meV/atom. Number 2: formation energy from the elements -1473 meV/atom. Number 3: formation energy from the elements -1543 meV/atom. Number 4: formation energy from the elements -2067 meV/atom. Number 5: formation energy from the elements -1757 meV/atom. Number 6: formation energy from the elements -2060 meV/atom. Number 7: formation energy from the elements -1527 meV/atom. Number 8: formation energy from the elements -385 meV/atom. Number 9: formation energy from the elements -2907 meV/atom.